LiGaCl4 after structural relaxation. Source: the Materials Project database, functional PBE.

Output
E_form   -1784 meV/atom

The structure in CIF format:
```
data_LiGaCl4
_chemical_formula_sum 'Li4 Ga4 Cl16'
_cell_length_a 7.0905
_cell_length_b 6.8606
_cell_length_c 13.2108
_cell_angle_alpha 90.00
_cell_angle_beta 92.60
_cell_angle_gamma 90.00
_symmetry_space_group_name_H-M 'P 1 21/c 1'
_symmetry_Int_Tables_number 14
_symmetry_space_group_name_Hall '-P 2ybc'
loop_
_atom_site_label
_atom_site_type_symbol
_atom_site_fract_x
_atom_site_fract_y
_atom_site_fract_z
Li1 Li 0.1503 0.0212 0.3680
Ga1 Ga 0.2971 0.1745 0.6017
Cl1 Cl 0.0729 0.1884 0.1903
Cl2 Cl 0.1833 0.6234 0.0717
Cl3 Cl 0.3072 0.1922 0.9510
Cl4 Cl 0.4312 0.6781 0.8132
```

---

GaP3N3Cl9 after structural relaxation. Source: the Materials Project database, functional PBE.

Output
E_form   -1047 meV/atom
M_tot   0.00 μB/f.u.

The structure in CIF format:
```
data_GaP3N3Cl9
_chemical_formula_sum 'Ga8 P24 N24 Cl72'
_cell_length_a 12.3337
_cell_length_b 11.2348
_cell_length_c 24.9535
_cell_angle_alpha 90.00
_cell_angle_beta 91.97
_cell_angle_gamma 90.00
_symmetry_space_group_name_H-M 'P 1 21/c 1'
_symmetry_Int_Tables_number 14
_symmetry_space_group_name_Hall '-P 2ybc'
loop_
_atom_site_label
_atom_site_type_symbol
_atom_site_fract_x
_atom_site_fract_y
_atom_site_fract_z
Ga1 Ga 0.0954 0.0753 0.1308
Ga2 Ga 0.3410 0.6122 0.1184
P1 P 0.0237 0.6878 0.8172
P2 P 0.0266 0.6969 0.9309
P3 P 0.1650 0.5410 0.8782
P4 P 0.4709 0.6660 0.6813
P5 P 0.4715 0.5433 0.3712
P6 P 0.4740 0.6582 0.5678
N1 N 0.0073 0.2395 0.1275
N2 N 0.1178 0.5930 0.8226
N3 N 0.1222 0.6030 0.9308
N4 N 0.4345 0.7268 0.6228
N5 N 0.4974 0.5281 0.6811
N6 N 0.4982 0.0208 0.9269
Cl1 Cl 0.0344 0.0554 0.8693
Cl2 Cl 0.0630 0.6937 0.2620
Cl3 Cl 0.0655 0.6746 0.4826
Cl4 Cl 0.1062 0.1240 0.5389
Cl5 Cl 0.1119 0.1138 0.7142
Cl6 Cl 0.1374 0.1351 0.3806
Cl7 Cl 0.1744 0.6738 0.1180
Cl8 Cl 0.1948 0.0675 0.0607
Cl9 Cl 0.1969 0.0786 0.2035
Cl10 Cl 0.3117 0.5844 0.3659
Cl11 Cl 0.3273 0.5467 0.8796
Cl12 Cl 0.3537 0.6956 0.7320
Cl13 Cl 0.3584 0.6823 0.5118
Cl14 Cl 0.3855 0.5154 0.0470
Cl15 Cl 0.3880 0.5069 0.1885
Cl16 Cl 0.3980 0.2433 0.9617
Cl17 Cl 0.4022 0.2438 0.2867
Cl18 Cl 0.4587 0.2028 0.1290
```

---

Ga2S5N5Cl7 after structural relaxation. Source: the Materials Project database, functional PBE.

Output
E_form   -485 meV/atom
M_tot   0.00 μB/f.u.

The structure in CIF format:
```
data_Ga2S5N5Cl7
_chemical_formula_sum 'Ga8 S20 N20 Cl28'
_cell_length_a 8.8121
_cell_length_b 13.6967
_cell_length_c 18.9152
_cell_angle_alpha 90.00
_cell_angle_beta 113.01
_cell_angle_gamma 90.00
_symmetry_space_group_name_H-M 'P 1 21/c 1'
_symmetry_Int_Tables_number 14
_symmetry_space_group_name_Hall '-P 2ybc'
loop_
_atom_site_label
_atom_site_type_symbol
_atom_site_fract_x
_atom_site_fract_y
_atom_site_fract_z
Ga1 Ga 0.0607 0.1839 0.1387
Ga2 Ga 0.2259 0.2459 0.9820
S1 S 0.2219 0.5838 0.1998
S2 S 0.3085 0.6134 0.7328
S3 S 0.3515 0.6442 0.0770
S4 S 0.3564 0.0048 0.3704
S5 S 0.4262 0.0620 0.8172
N1 N 0.2561 0.6292 0.1310
N2 N 0.3538 0.5078 0.2470
N3 N 0.3879 0.5407 0.8015
N4 N 0.4112 0.6146 0.6802
N5 N 0.4880 0.0850 0.4130
Cl1 Cl 0.0333 0.1525 0.0124
Cl2 Cl 0.0498 0.5525 0.3366
Cl3 Cl 0.0725 0.6821 0.8629
Cl4 Cl 0.1217 0.2370 0.8572
Cl5 Cl 0.2089 0.1086 0.5242
Cl6 Cl 0.3242 0.1944 0.2055
Cl7 Cl 0.4634 0.1751 0.0343
```

---

GaSe2NCl6 after structural relaxation. Source: the Materials Project database, functional PBE.

Output
E_form   -817 meV/atom
M_tot   0.00 μB/f.u.

The structure in CIF format:
```
data_GaSe2NCl6
_chemical_formula_sum 'Ga4 Se8 N4 Cl24'
_cell_length_a 10.1962
_cell_length_b 11.8144
_cell_length_c 11.0600
_cell_angle_alpha 90.00
_cell_angle_beta 114.48
_cell_angle_gamma 90.00
_symmetry_space_group_name_H-M 'P 1 21/c 1'
_symmetry_Int_Tables_number 14
_symmetry_space_group_name_Hall '-P 2ybc'
loop_
_atom_site_label
_atom_site_type_symbol
_atom_site_fract_x
_atom_site_fract_y
_atom_site_fract_z
Ga1 Ga 0.1725 0.1936 0.4870
Se1 Se 0.2116 0.6819 0.8790
Se2 Se 0.2738 0.5465 0.4541
N1 N 0.2148 0.6724 0.3724
Cl1 Cl 0.0030 0.6762 0.5869
Cl2 Cl 0.1421 0.0971 0.6427
Cl3 Cl 0.1636 0.0858 0.3218
Cl4 Cl 0.3655 0.6320 0.0780
Cl5 Cl 0.3777 0.2120 0.0670
Cl6 Cl 0.4238 0.5797 0.6601
```

---

Na3GaCl6 after structural relaxation. Source: the Materials Project database, functional PBE.

Output
E_form   -1751 meV/atom
M_tot   0.00 μB/f.u.

The structure in CIF format:
```
data_Na3GaCl6
_chemical_formula_sum 'Na12 Ga4 Cl24'
_cell_length_a 10.1264
_cell_length_b 10.1264
_cell_length_c 10.1264
_cell_angle_alpha 90.00
_cell_angle_beta 90.00
_cell_angle_gamma 90.00
_symmetry_space_group_name_H-M 'F m -3 m'
_symmetry_Int_Tables_number 225
_symmetry_space_group_name_Hall '-F 4 2 3'
loop_
_atom_site_label
_atom_site_type_symbol
_atom_site_fract_x
_atom_site_fract_y
_atom_site_fract_z
Na1 Na 0.0000 0.0000 0.0000
Na2 Na 0.2500 0.2500 0.2500
Ga1 Ga 0.0000 0.0000 0.5000
Cl1 Cl 0.0000 0.0000 0.2653
```

---

NaGaCl4 after structural relaxation. Source: the Materials Project database, functional PBE.

Output
E_form   -1794 meV/atom

The structure in CIF format:
```
data_NaGaCl4
_chemical_formula_sum 'Na4 Ga4 Cl16'
_cell_length_a 6.3381
_cell_length_b 10.0728
_cell_length_c 10.5105
_cell_angle_alpha 90.00
_cell_angle_beta 90.00
_cell_angle_gamma 90.00
_symmetry_space_group_name_H-M 'P 21 21 21'
_symmetry_Int_Tables_number 19
_symmetry_space_group_name_Hall 'P 2ac 2ab'
loop_
_atom_site_label
_atom_site_type_symbol
_atom_site_fract_x
_atom_site_fract_y
_atom_site_fract_z
Na1 Na 0.0592 0.0377 0.3717
Ga1 Ga 0.0368 0.7357 0.7124
Cl1 Cl 0.1360 0.5623 0.6000
Cl2 Cl 0.1714 0.7285 0.9065
Cl3 Cl 0.1737 0.9179 0.6275
Cl4 Cl 0.1889 0.7586 0.2835
```

---

NaGa6Sb7Te8Cl24 after structural relaxation. Source: the Materials Project database, functional PBE.

Output
E_form   -1157 meV/atom
M_tot   0.16 μB/f.u.

The structure in CIF format:
```
data_NaGa6Sb7Te8Cl24
_chemical_formula_sum 'Na2 Ga12 Sb14 Te16 Cl48'
_cell_length_a 12.5687
_cell_length_b 13.1375
_cell_length_c 18.8448
_cell_angle_alpha 87.78
_cell_angle_beta 89.95
_cell_angle_gamma 74.17
_symmetry_space_group_name_H-M 'P -1'
_symmetry_Int_Tables_number 2
_symmetry_space_group_name_Hall '-P 1'
loop_
_atom_site_label
_atom_site_type_symbol
_atom_site_fract_x
_atom_site_fract_y
_atom_site_fract_z
Na1 Na 0.1676 0.2473 0.2887
Ga1 Ga 0.1579 0.1027 0.0854
Ga2 Ga 0.2025 0.6794 0.5982
Ga3 Ga 0.2207 0.5072 0.1476
Ga4 Ga 0.2874 0.9592 0.3636
Ga5 Ga 0.2991 0.8082 0.8897
Ga6 Ga 0.3263 0.3699 0.4027
Sb1 Sb 0.0475 0.6907 0.3397
Sb2 Sb 0.1335 0.9979 0.7048
Sb3 Sb 0.2396 0.1813 0.5499
Sb4 Sb 0.2585 0.2404 0.7574
Sb5 Sb 0.2884 0.3064 0.9658
Sb6 Sb 0.3582 0.5008 0.7995
Sb7 Sb 0.4337 0.7990 0.1516
Te1 Te 0.0330 0.1223 0.5779
Te2 Te 0.0396 0.1836 0.7870
Te3 Te 0.1521 0.3725 0.6250
Te4 Te 0.1668 0.4344 0.8461
Te5 Te 0.3408 0.0395 0.6688
Te6 Te 0.3827 0.1181 0.8882
Te7 Te 0.4641 0.3149 0.7200
Te8 Te 0.4762 0.3933 0.9253
Cl1 Cl 0.0676 0.1875 0.1756
Cl2 Cl 0.0920 0.2016 0.9876
Cl3 Cl 0.1095 0.6730 0.6969
Cl4 Cl 0.1192 0.6247 0.5100
Cl5 Cl 0.1201 0.4664 0.2359
Cl6 Cl 0.1216 0.5161 0.0504
Cl7 Cl 0.1297 0.0837 0.3781
Cl8 Cl 0.1452 0.9409 0.0861
Cl9 Cl 0.1480 0.3747 0.4180
Cl10 Cl 0.1531 0.9458 0.8864
Cl11 Cl 0.2055 0.8442 0.5701
Cl12 Cl 0.2432 0.6638 0.1720
Cl13 Cl 0.2520 0.8053 0.3525
Cl14 Cl 0.2603 0.6615 0.9281
Cl15 Cl 0.3332 0.1030 0.0900
Cl16 Cl 0.3404 0.5204 0.3577
Cl17 Cl 0.3601 0.9948 0.2618
Cl18 Cl 0.3629 0.7909 0.7812
Cl19 Cl 0.3703 0.5772 0.6164
Cl20 Cl 0.3816 0.2393 0.3293
Cl21 Cl 0.3816 0.3917 0.1376
Cl22 Cl 0.4007 0.9576 0.4513
Cl23 Cl 0.4088 0.3246 0.5070
Cl24 Cl 0.4222 0.8373 0.9651
```

---

> E_form of number 6 (NaGaCl4)?

-1794 meV/atom

---

> Look up the E_form of the second one.

-1047 meV/atom

---

> Among the records above, which one has the lowest E_form?

NaGaCl4